Li9Ti7Nb5O30 after structural relaxation, computed with PBE.

Cell: 5.1723 5.1723 24.1679 Å, 90.00 90.00 120.00°
With the nearest neighbours (Å) after each atom.
Element x y z (fractional)
Li 0.0000 0.0000 0.0000  3 O 2.06
Li 0.0000 0.0000 0.1585  6 O 2.14-2.25
Li 0.0000 0.0000 0.4496  3 O 1.99
Li 0.0000 0.0000 0.7038  3 O 2.07
Li 0.3333 0.6667 0.3515  3 O 2.03
Li 0.3333 0.6667 0.6034  3 O 2.03
Li 0.3333 0.6667 0.8697  6 O 2.03-2.05
Li 0.6667 0.3333 0.2803  6 O 1.99-2.04
Li 0.6667 0.3333 0.5513  3 O 2.02
Ti 0.3333 0.6667 0.0919  3 O 1.86
Ti 0.3333 0.6667 0.7621  3 O 1.87
Ti 0.3333 0.6667 0.9720  6 O 1.94-2.05
Ti 0.6667 0.3333 0.0612  3 O 1.89
Ti 0.6667 0.3333 0.1839  3 O 1.86
Ti 0.6667 0.3333 0.6685  3 O 1.89
Ti 0.6667 0.3333 0.7906  3 O 1.90
Nb 0.0000 0.0000 0.2806  6 O 2.02-2.04
Nb 0.0000 0.0000 0.5780  6 O 2.01-2.03
Nb 0.0000 0.0000 0.8792  3 O 1.91
Nb 0.3333 0.6667 0.4795  6 O 2.02-2.03
Nb 0.6667 0.3333 0.3847  6 O 1.97-2.09
O 0.0060 0.6316 0.4286  2 Nb 1.97-2.03, 1 Li 1.99
O 0.0092 0.6631 0.8221  1 Ti 1.90, 1 Li 2.03
O 0.0203 0.6340 0.0279  2 Ti 1.89-2.05, 1 Li 2.06
O 0.0434 0.3350 0.5294  2 Nb 2.01-2.02, 1 Li 2.02
O 0.0759 0.3342 0.9244  1 Nb 1.91, 1 Ti 1.94, 1 Li 2.05
O 0.2582 0.9241 0.9244  1 Nb 1.91, 1 Ti 1.94, 1 Li 2.05
O 0.2916 0.9566 0.5294  2 Nb 2.01-2.02, 1 Li 2.02
O 0.3324 0.2511 0.2256  1 Ti 1.86, 1 Nb 2.04, 1 Li 2.04
O 0.3369 0.3460 0.8221  1 Ti 1.90, 1 Li 2.03
O 0.3378 0.0464 0.3292  2 Li 1.99-2.03, 2 Nb 2.02-2.09
O 0.3385 0.2926 0.6273  1 Ti 1.89, 1 Nb 2.03, 1 Li 2.03
O 0.3660 0.3863 0.0279  2 Ti 1.89-2.05, 1 Li 2.06
O 0.3684 0.3744 0.4286  2 Nb 1.97-2.03, 1 Li 1.99
O 0.3885 0.0222 0.1221  1 Ti 1.86
O 0.3917 0.0184 0.7292  1 Ti 1.87, 1 Li 2.07
O 0.6137 0.9797 0.0279  2 Ti 1.89-2.05, 1 Li 2.06
O 0.6256 0.9940 0.4286  2 Nb 1.97-2.03, 1 Li 1.99
O 0.6267 0.6083 0.7292  1 Ti 1.87, 1 Li 2.07
O 0.6337 0.6115 0.1221  1 Ti 1.86
O 0.6540 0.9908 0.8221  1 Ti 1.90, 1 Li 2.03
O 0.6650 0.7084 0.5294  2 Nb 2.01-2.02, 1 Li 2.02
O 0.6658 0.7418 0.9244  1 Nb 1.91, 1 Ti 1.94, 1 Li 2.05
O 0.7074 0.0459 0.6273  1 Ti 1.89, 1 Nb 2.03, 1 Li 2.03
O 0.7086 0.6622 0.3292  2 Li 1.99-2.03, 2 Nb 2.02-2.09
O 0.7489 0.0813 0.2256  1 Ti 1.86, 1 Nb 2.04, 1 Li 2.04
O 0.9187 0.6676 0.2256  1 Ti 1.86, 1 Nb 2.04, 1 Li 2.04
O 0.9536 0.2914 0.3292  2 Li 1.99-2.03, 2 Nb 2.02-2.09
O 0.9541 0.6615 0.6273  1 Ti 1.89, 1 Nb 2.03, 1 Li 2.03
O 0.9778 0.3663 0.1221  1 Ti 1.86
O 0.9816 0.3733 0.7292  1 Ti 1.87, 1 Li 2.07

Computed properties:
Calculated total energy (eV/atom): -7.943
Formation energy from the elements (meV/atom): -3025
V (Å³/cell): 559.93

---

Li4Ti5Nb3O16 after structural relaxation, computed with PBE.

Cell: 5.9812 5.9812 9.8728 Å, 90.08 90.08 59.80°
With the nearest neighbours (Å) after each atom.
Element x y z (fractional)
Li 0.0000 0.0000 0.0000  2 O 1.80-1.99
Li 0.0004 0.0004 0.4958  3 O 1.80-1.98
Li 0.3385 0.3385 0.0900  4 O 1.94-1.99
Li 0.6734 0.6734 0.6011  4 O 1.88-2.02
Ti 0.1771 0.6640 0.7741  6 O 1.99-2.12
Ti 0.3369 0.3369 0.4964  5 O 1.92-2.12
Ti 0.6640 0.1771 0.7741  6 O 1.99-2.12
Ti 0.6749 0.6749 0.9982  6 O 2.01-2.11
Ti 0.8306 0.8306 0.2712  6 O 1.99-2.16
Nb 0.1784 0.1784 0.7774  6 O 2.06-2.09
Nb 0.3729 0.8127 0.2777  6 O 2.09-2.23
Nb 0.8127 0.3729 0.2777  6 O 2.09-2.23
O 0.0024 0.0024 0.1818  1 Li 1.80, 1 Ti 1.99
O 0.0019 0.0019 0.6778  1 Li 1.80, 2 Ti 1.99
O 0.0473 0.4908 0.6478  1 Li 1.99, 2 Ti 2.01-2.12, 1 Nb 2.07
O 0.1753 0.1753 0.4006  1 Ti 1.92, 1 Li 2.04
O 0.1749 0.6684 0.3957  1 Li 1.98, 2 Ti 1.98-2.16, 1 Nb 2.13
O 0.3405 0.8411 0.8934  2 Ti 2.01-2.12, 1 Li 2.05, 1 Nb 2.09
O 0.3466 0.3466 0.8891  1 Li 1.99, 2 Ti 2.00, 1 Nb 2.06
O 0.4858 0.4858 0.6553  3 Ti 1.99-2.20, 1 Li 2.02
O 0.4908 0.0473 0.6478  1 Li 1.99, 2 Ti 2.01-2.12, 1 Nb 2.07
O 0.5217 0.5217 0.1311  1 Li 1.94, 1 Ti 2.06, 2 Nb 2.09
O 0.5259 0.9717 0.1447  1 Li 1.97, 2 Ti 2.01-2.11, 1 Nb 2.09
O 0.6684 0.1749 0.3957  1 Li 1.98, 2 Ti 1.98-2.16, 1 Nb 2.13
O 0.6908 0.6908 0.4113  1 Li 1.88, 1 Ti 2.01
O 0.8397 0.8397 0.8898  1 Li 1.99, 3 Ti 2.02-2.09
O 0.8411 0.3405 0.8934  2 Ti 2.01-2.12, 1 Li 2.05, 1 Nb 2.09
O 0.9717 0.5259 0.1447  1 Li 1.97, 2 Ti 2.01-2.11, 1 Nb 2.09

Computed properties:
Calculated total energy (eV/atom): -8.176
Formation energy from the elements (meV/atom): -2977
V (Å³/cell): 305.27

---

Li2Ti3NbO8 after structural relaxation, computed with PBE.

Cell: 8.5585 8.5585 8.5585 Å, 90.00 90.00 90.00°
With the nearest neighbours (Å) after each atom.
Element x y z (fractional)
Li 0.0030 0.4970 0.5030  4 O 2.00-2.04
Li 0.2470 0.7470 0.7530  4 O 2.00-2.04
Li 0.2530 0.2530 0.2530  4 O 2.00-2.04
Li 0.4970 0.5030 0.0030  4 O 2.00-2.04
Li 0.5030 0.0030 0.4970  4 O 2.00-2.04
Li 0.7470 0.7530 0.2470  4 O 2.00-2.04
Li 0.7530 0.2470 0.7470  4 O 2.00-2.04
Li 0.9970 0.9970 0.9970  4 O 2.00-2.04
Ti 0.1235 0.1265 0.6250  6 O 2.02-2.03
Ti 0.1250 0.3765 0.8735  6 O 2.02-2.03
Ti 0.1265 0.6250 0.1235  6 O 2.02-2.03
Ti 0.3735 0.3750 0.6235  6 O 2.02-2.03
Ti 0.3750 0.6235 0.3735  6 O 2.02-2.03
Ti 0.3765 0.8735 0.1250  6 O 2.02-2.03
Ti 0.6235 0.3735 0.3750  6 O 2.02-2.03
Ti 0.6250 0.1235 0.1265  6 O 2.02-2.03
Ti 0.6265 0.8750 0.8765  6 O 2.02-2.03
Ti 0.8735 0.1250 0.3765  6 O 2.02-2.03
Ti 0.8750 0.8765 0.6265  6 O 2.02-2.03
Ti 0.8765 0.6265 0.8750  6 O 2.02-2.03
Nb 0.1250 0.8750 0.3750  6 O 2.10
Nb 0.3750 0.1250 0.8750  6 O 2.10
Nb 0.6250 0.6250 0.6250  6 O 2.10
Nb 0.8750 0.3750 0.1250  6 O 2.10
O 0.1093 0.1194 0.3880  2 Ti 2.02-2.03, 1 Li 2.04, 1 Nb 2.10
O 0.1120 0.6120 0.8880  1 Li 2.00, 3 Ti 2.02
O 0.1120 0.8907 0.6194  2 Ti 2.02-2.03, 1 Li 2.04, 1 Nb 2.10
O 0.1194 0.3880 0.1093  2 Ti 2.02-2.03, 1 Li 2.04, 1 Nb 2.10
O 0.1306 0.1407 0.8620  2 Ti 2.02-2.03, 1 Li 2.04, 1 Nb 2.10
O 0.1380 0.3620 0.6380  1 Li 2.00, 3 Ti 2.02
O 0.1380 0.6306 0.3593  2 Ti 2.02-2.03, 1 Li 2.04, 1 Nb 2.10
O 0.1407 0.8620 0.1306  2 Ti 2.02-2.03, 1 Li 2.04, 1 Nb 2.10
O 0.3593 0.1380 0.6306  2 Ti 2.02-2.03, 1 Li 2.04, 1 Nb 2.10
O 0.3620 0.3694 0.8593  2 Ti 2.02-2.03, 1 Li 2.04, 1 Nb 2.10
O 0.3620 0.6380 0.1380  1 Li 2.00, 3 Ti 2.02
O 0.3694 0.8593 0.3620  2 Ti 2.02-2.03, 1 Li 2.04, 1 Nb 2.10
O 0.3806 0.6120 0.6093  2 Ti 2.02-2.03, 1 Li 2.04, 1 Nb 2.10
O 0.3880 0.1093 0.1194  2 Ti 2.02-2.03, 1 Li 2.04, 1 Nb 2.10
O 0.3880 0.3880 0.3880  1 Li 2.00, 3 Ti 2.02
O 0.3907 0.8806 0.8880  2 Ti 2.02-2.03, 1 Li 2.04, 1 Nb 2.10
O 0.6093 0.3806 0.6120  2 Ti 2.02-2.03, 1 Li 2.04, 1 Nb 2.10
O 0.6120 0.6093 0.3806  2 Ti 2.02-2.03, 1 Li 2.04, 1 Nb 2.10
O 0.6120 0.8880 0.1120  1 Li 2.00, 3 Ti 2.02
O 0.6194 0.1120 0.8907  2 Ti 2.02-2.03, 1 Li 2.04, 1 Nb 2.10
O 0.6306 0.3593 0.1380  2 Ti 2.02-2.03, 1 Li 2.04, 1 Nb 2.10
O 0.6380 0.1380 0.3620  1 Li 2.00, 3 Ti 2.02
O 0.6380 0.8694 0.6407  2 Ti 2.02-2.03, 1 Li 2.04, 1 Nb 2.10
O 0.6407 0.6380 0.8694  2 Ti 2.02-2.03, 1 Li 2.04, 1 Nb 2.10
O 0.8593 0.3620 0.3694  2 Ti 2.02-2.03, 1 Li 2.04, 1 Nb 2.10
O 0.8620 0.1306 0.1407  2 Ti 2.02-2.03, 1 Li 2.04, 1 Nb 2.10
O 0.8620 0.8620 0.8620  1 Li 2.00, 3 Ti 2.02
O 0.8694 0.6407 0.6380  2 Ti 2.02-2.03, 1 Li 2.04, 1 Nb 2.10
O 0.8806 0.8880 0.3907  2 Ti 2.02-2.03, 1 Li 2.04, 1 Nb 2.10
O 0.8880 0.1120 0.6120  1 Li 2.00, 3 Ti 2.02
O 0.8880 0.3907 0.8806  2 Ti 2.02-2.03, 1 Li 2.04, 1 Nb 2.10
O 0.8907 0.6194 0.1120  2 Ti 2.02-2.03, 1 Li 2.04, 1 Nb 2.10

Computed properties:
Calculated total energy (eV/atom): -8.204
Energy relative to the lowest polymorph listed for this composition (meV/atom): 0
Formation energy from the elements (meV/atom): -3083
V (Å³/cell): 626.90

---

Li4Ti3Nb5O16 after structural relaxation, computed with PBE.

Cell: 6.1060 6.1060 9.8121 Å, 90.72 90.72 59.14°
With the nearest neighbours (Å) after each atom.
Element x y z (fractional)
Li 0.0000 0.0000 0.0000  2 O 1.81-1.97
Li 0.0119 0.0119 0.5064  4 O 1.82-2.03
Li 0.3399 0.3399 0.9178  4 O 1.82-1.92
Li 0.6773 0.6773 0.3996  4 O 1.96-2.07
Ti 0.1739 0.6726 0.2233  6 O 2.00-2.15
Ti 0.6726 0.1739 0.2233  6 O 2.00-2.15
Ti 0.8397 0.8397 0.7283  6 O 2.01-2.16
Nb 0.1821 0.1821 0.2178  6 O 2.06-2.12
Nb 0.3456 0.3456 0.5053  6 O 1.96-2.19
Nb 0.3854 0.8218 0.7343  6 O 2.10-2.32
Nb 0.6706 0.6706 0.9685  5 O 2.08-2.22
Nb 0.8218 0.3854 0.7343  6 O 2.10-2.32
O 0.0042 0.5376 0.8523  1 Li 1.88, 1 Ti 2.01
O 0.0105 0.0105 0.3205  1 Li 1.82, 2 Ti 2.01
O 0.0116 0.0116 0.8159  1 Li 1.81, 1 Ti 2.01
O 0.0505 0.4991 0.3514  1 Li 2.02, 1 Ti 2.04, 2 Nb 2.12-2.15
O 0.1765 0.6801 0.6025  1 Li 1.99, 1 Nb 1.99, 1 Ti 2.16
O 0.1838 0.1838 0.5999  1 Nb 1.96, 1 Li 2.03
O 0.3358 0.8486 0.1061  1 Li 2.04, 2 Nb 2.06-2.22, 1 Ti 2.15
O 0.3511 0.3511 0.1129  1 Li 1.92, 2 Ti 2.00, 1 Nb 2.08
O 0.4883 0.4883 0.3468  2 Ti 2.04, 1 Li 2.07, 1 Nb 2.19
O 0.4991 0.0505 0.3514  1 Li 2.02, 1 Ti 2.04, 2 Nb 2.12-2.15
O 0.5015 0.5015 0.8588  1 Li 1.82
O 0.5376 0.0042 0.8523  1 Li 1.88, 1 Ti 2.01
O 0.6801 0.1765 0.6025  1 Li 1.99, 1 Nb 1.99, 1 Ti 2.16
O 0.6908 0.6908 0.5987  1 Li 1.96, 1 Ti 2.02, 2 Nb 2.10
O 0.8485 0.8485 0.1135  1 Li 1.97, 2 Ti 2.01
O 0.8486 0.3358 0.1061  1 Li 2.04, 2 Nb 2.06-2.22, 1 Ti 2.15

Computed properties:
Calculated total energy (eV/atom): -8.215
Formation energy from the elements (meV/atom): -2857
V (Å³/cell): 314.02

---

> Among the records above, which one has the lowest formation energy from the elements?

Li2Ti3NbO8

---

Copy entry 2 word for word.
Li4Ti5Nb3O16 after structural relaxation, computed with PBE.

Cell: 5.9812 5.9812 9.8728 Å, 90.08 90.08 59.80°
With the nearest neighbours (Å) after each atom.
Element x y z (fractional)
Li 0.0000 0.0000 0.0000  2 O 1.80-1.99
Li 0.0004 0.0004 0.4958  3 O 1.80-1.98
Li 0.3385 0.3385 0.0900  4 O 1.94-1.99
Li 0.6734 0.6734 0.6011  4 O 1.88-2.02
Ti 0.1771 0.6640 0.7741  6 O 1.99-2.12
Ti 0.3369 0.3369 0.4964  5 O 1.92-2.12
Ti 0.6640 0.1771 0.7741  6 O 1.99-2.12
Ti 0.6749 0.6749 0.9982  6 O 2.01-2.11
Ti 0.8306 0.8306 0.2712  6 O 1.99-2.16
Nb 0.1784 0.1784 0.7774  6 O 2.06-2.09
Nb 0.3729 0.8127 0.2777  6 O 2.09-2.23
Nb 0.8127 0.3729 0.2777  6 O 2.09-2.23
O 0.0024 0.0024 0.1818  1 Li 1.80, 1 Ti 1.99
O 0.0019 0.0019 0.6778  1 Li 1.80, 2 Ti 1.99
O 0.0473 0.4908 0.6478  1 Li 1.99, 2 Ti 2.01-2.12, 1 Nb 2.07
O 0.1753 0.1753 0.4006  1 Ti 1.92, 1 Li 2.04
O 0.1749 0.6684 0.3957  1 Li 1.98, 2 Ti 1.98-2.16, 1 Nb 2.13
O 0.3405 0.8411 0.8934  2 Ti 2.01-2.12, 1 Li 2.05, 1 Nb 2.09
O 0.3466 0.3466 0.8891  1 Li 1.99, 2 Ti 2.00, 1 Nb 2.06
O 0.4858 0.4858 0.6553  3 Ti 1.99-2.20, 1 Li 2.02
O 0.4908 0.0473 0.6478  1 Li 1.99, 2 Ti 2.01-2.12, 1 Nb 2.07
O 0.5217 0.5217 0.1311  1 Li 1.94, 1 Ti 2.06, 2 Nb 2.09
O 0.5259 0.9717 0.1447  1 Li 1.97, 2 Ti 2.01-2.11, 1 Nb 2.09
O 0.6684 0.1749 0.3957  1 Li 1.98, 2 Ti 1.98-2.16, 1 Nb 2.13
O 0.6908 0.6908 0.4113  1 Li 1.88, 1 Ti 2.01
O 0.8397 0.8397 0.8898  1 Li 1.99, 3 Ti 2.02-2.09
O 0.8411 0.3405 0.8934  2 Ti 2.01-2.12, 1 Li 2.05, 1 Nb 2.09
O 0.9717 0.5259 0.1447  1 Li 1.97, 2 Ti 2.01-2.11, 1 Nb 2.09

Computed properties:
Calculated total energy (eV/atom): -8.176
Formation energy from the elements (meV/atom): -2977
V (Å³/cell): 305.27

---

> Among the records above, which one has the lowest V?

Li4Ti5Nb3O16